[1]
TmGa2Pd after structural relaxation. Source: Materials Project, functional r2SCAN.

The calculation puts the formation energy at -0.86 eV per atom. As for the density: 9.7 Mg/m³. Its calculated volume is 284.9 Å³/cell. For the magnetization, the calculation gives 0.000 μB/atom.

The space group is Cmcm (No. 63) and the conventional cell measures 4.3705, 10.0012 and 6.5169 Å, with angles of 90.00, 90.00 and 90.00 degrees. The inequivalent atoms are Tm at (0.0000, 0.0877, 0.2500), Ga at (0.0000, 0.3730, 0.0535) and Pd at (0.0000, 0.2014, 0.7500).

***

[2]
LiFeF4 after structural relaxation. Source: Materials Project, functional r2SCAN.

The calculation puts the formation energy at -2.79 eV per atom. As for the density: 3.6 Mg/m³. Its calculated volume is 255.7 Å³/cell. For the magnetization, the calculation gives 0.833 μB/atom.

The space group is P2_1/c (No. 14) and the conventional cell measures 5.5121, 4.6477 and 10.0320 Å, with angles of 90.00, 95.73 and 90.00 degrees. The inequivalent atoms are Li at (0.1108, 0.0067, 0.3768), Fe at (0.3548, 0.0073, 0.1250), F at (0.1035, 0.6857, 0.6987), F at (0.1571, 0.1955, 0.5507), F at (0.3548, 0.6891, 0.4504) and F at (0.4108, 0.2082, 0.2982).

***

[3]
Pr2I5 after structural relaxation. Source: Materials Project, functional r2SCAN.

The calculation puts the formation energy at -1.64 eV per atom. As for the density: 5.2 Mg/m³. Its calculated volume is 584.0 Å³/cell. For the magnetization, the calculation gives 0.143 μB/atom.

The space group is P2_1/m (No. 11) and the conventional cell measures 9.0210, 4.3774 and 14.8014 Å, with angles of 90.00, 92.33 and 90.00 degrees. The inequivalent atoms are Pr at (0.0852, 0.2500, 0.1582), Pr at (0.3994, 0.7500, 0.3464), I at (0.1429, 0.2500, 0.3779), I at (0.1475, 0.2500, 0.7825), I at (0.1872, 0.7500, 0.0125), I at (0.3614, 0.7500, 0.5729) and I at (0.4457, 0.2500, 0.1875).